A relaxed Sm4ZrFe33 crystal. Source: the Materials Project database, functional PBE-GGA.

Summary:
* space-group type: Cm (8)
* V: 14.04 Å³ per atom
* energy relative to the elements: 10 meV per atom
* DFT total energy: -8.07 eV/atom

a = 6.470 Å, b = 6.470 Å, c = 13.020 Å
α = 96.93°, β = 96.93°, γ = 82.87°
Atoms (fractional coordinates):
1 Sm 0.000 0.000 0.000
2 Sm 0.000 0.000 0.493
3 Sm 0.309 0.309 0.847
4 Sm 0.317 0.317 0.337
5 Zr 0.565 0.565 0.716
6 Fe 0.000 0.000 0.246
7 Fe 0.001 0.504 0.000
8 Fe 0.147 0.662 0.665
9 Fe 0.159 0.659 0.168
10 Fe 0.312 0.823 0.842
11 Fe 0.314 0.314 0.584
12 Fe 0.316 0.813 0.337
13 Fe 0.317 0.317 0.091
14 Fe 0.351 0.967 0.667
15 Fe 0.361 0.661 0.519
16 Fe 0.366 0.951 0.168
17 Fe 0.368 0.660 0.024
18 Fe 0.504 0.001 0.000
19 Fe 0.504 0.998 0.495
20 Fe 0.562 0.562 0.217
21 Fe 0.656 0.656 0.416
22 Fe 0.656 0.948 0.311
23 Fe 0.658 0.961 0.817
24 Fe 0.659 0.159 0.168
25 Fe 0.660 0.368 0.024
26 Fe 0.661 0.361 0.519
27 Fe 0.662 0.147 0.665
28 Fe 0.664 0.664 0.923
29 Fe 0.755 0.755 0.121
30 Fe 0.761 0.761 0.611
31 Fe 0.813 0.316 0.337
32 Fe 0.823 0.312 0.842
33 Fe 0.948 0.656 0.311
34 Fe 0.951 0.366 0.168
35 Fe 0.961 0.658 0.817
36 Fe 0.967 0.351 0.667
37 Fe 0.998 0.504 0.495
38 Fe 0.998 0.998 0.747